[1]
The following is a PBE calculation of K2MgNb2P2C2O14 after structural relaxation, from the Materials Project.

Values from the calculation:
Energy above the lowest structure with this stoichiometry, meV per atom: 14
V, Å³ per cell: 349.6
Energy of formation, eV/atom: -2.36
Spin magnetization, μB per formula unit: 4.01

abc: 5.3944 6.7818 9.6283
angles: 86.32 87.06 84.69
Space group P1 (No. 1)
Unique sites:
K1 0.0000 0.0000 0.0000 [1 per cell]
K2 0.4719 0.4521 0.5768 [1 per cell]
Mg1 0.5926 0.9494 0.5575 [1 per cell]
Nb1 0.5474 0.6562 0.1183 [1 per cell]
Nb2 0.9827 0.1518 0.4078 [1 per cell]
P1 0.0239 0.6563 0.3548 [1 per cell]
P2 0.4669 0.1564 0.2002 [1 per cell]
C1 0.0722 0.1518 0.6733 [1 per cell]
C2 0.5327 0.7251 0.8492 [1 per cell]
O1 0.1120 0.2182 0.7849 [1 per cell]
O2 0.1765 0.1680 0.2169 [1 per cell]
O3 0.2530 0.1087 0.5754 [1 per cell]
O4 0.3045 0.6763 0.3199 [1 per cell]
O5 0.3327 0.7154 0.9327 [1 per cell]
O6 0.5172 0.7644 0.7170 [1 per cell]
O7 0.5476 0.3499 0.1233 [1 per cell]
O8 0.5478 0.9789 0.1107 [1 per cell]
O9 0.5851 0.1320 0.3463 [1 per cell]
O10 0.7419 0.6902 0.9106 [1 per cell]
O11 0.8429 0.1329 0.6279 [1 per cell]
O12 0.8801 0.6615 0.2199 [1 per cell]
O13 0.9130 0.8312 0.4466 [1 per cell]
O14 0.9887 0.4608 0.4446 [1 per cell]



[2]
The following is a PBE calculation of Ba2PrSbO6 after structural relaxation, from the Materials Project.

Values from the calculation:
Energy above the lowest structure with this stoichiometry, meV per atom: 6
V, Å³ per cell: 661.3
Energy of formation, eV/atom: -2.99
Spin magnetization, μB per formula unit: 0.00

abc: 8.7123 8.7123 8.7123
angles: 90.00 90.00 90.00
Space group Fm-3m (No. 225)
Unique sites:
Ba1 0.2500 0.2500 0.2500 [8 per cell]
Pr1 0.0000 0.0000 0.0000 [4 per cell]
Sb1 0.0000 0.0000 0.5000 [4 per cell]
O1 0.0000 0.0000 0.2686 [24 per cell]



[3]
The following is a PBE calculation of NbTc after structural relaxation, from the Materials Project.

Values from the calculation:
V, Å³ per cell: 65.5
Energy of formation, eV/atom: -0.13

abc: 3.1976 4.6385 4.4193
angles: 90.00 90.00 90.00
Space group Cmmm (No. 65)
Unique sites:
Nb1 0.0000 0.0000 0.0000 [2 per cell]
Tc1 0.0000 0.5000 0.5000 [2 per cell]



[4]
The following is a PBE calculation of PmSmIr2 after structural relaxation, from the Materials Project.

Values from the calculation:
V, Å³ per cell: 347.8
Energy of formation, eV/atom: -0.64

abc: 7.0326 7.0326 7.0326
angles: 90.00 90.00 90.00
Space group Fm-3m (No. 225)
Unique sites:
Pm1 0.0000 0.0000 0.0000 [4 per cell]
Sm1 0.0000 0.0000 0.5000 [4 per cell]
Ir1 0.2500 0.2500 0.2500 [8 per cell]



[5]
The following is a PBE calculation of Cs2LiNF6 after structural relaxation, from the Materials Project.

Values from the calculation:
V, Å³ per cell: 624.1
Energy of formation, eV/atom: -1.77
Spin magnetization, μB per formula unit: 0.00

abc: 8.5460 8.5460 8.5460
angles: 90.00 90.00 90.00
Space group Fm-3m (No. 225)
Unique sites:
Cs1 0.2500 0.2500 0.2500 [8 per cell]
Li1 0.0000 0.0000 0.0000 [4 per cell]
N1 0.0000 0.0000 0.5000 [4 per cell]
F1 0.0000 0.0000 0.2798 [24 per cell]



[6]
The following is a PBE calculation of Mg7Si4 after structural relaxation, from the Materials Project.

Values from the calculation:
Energy above the lowest structure with this stoichiometry, meV per atom: 33
V, Å³ per cell: 443.2
Energy of formation, eV/atom: 0.08
Spin magnetization, μB per formula unit: 0.00

abc: 5.2789 5.9860 14.3008
angles: 81.67 87.01 82.63
Space group P1 (No. 1)
Unique sites:
Mg1 0.0000 0.0000 0.0000 [1 per cell]
Mg2 0.0042 0.1217 0.2050 [1 per cell]
Mg3 0.1129 0.4100 0.8346 [1 per cell]
Mg4 0.1315 0.3402 0.6213 [1 per cell]
Mg5 0.1856 0.3179 0.4084 [1 per cell]
Mg6 0.2162 0.9141 0.7924 [1 per cell]
Mg7 0.2464 0.8503 0.5603 [1 per cell]
Mg8 0.4701 0.3807 0.1878 [1 per cell]
Mg9 0.4875 0.8181 0.3480 [1 per cell]
Mg10 0.5105 0.8863 0.1251 [1 per cell]
Mg11 0.5852 0.5187 0.7114 [1 per cell]
Mg12 0.7119 0.0099 0.6631 [1 per cell]
Mg13 0.8983 0.5019 0.0323 [1 per cell]
Mg14 0.9547 0.6210 0.2386 [1 per cell]
Si1 0.3989 0.6633 0.9761 [1 per cell]
Si2 0.4189 0.2563 0.9897 [1 per cell]
Si3 0.6087 0.3604 0.5217 [1 per cell]
Si4 0.6835 0.1683 0.8517 [1 per cell]
Si5 0.7011 0.2618 0.3620 [1 per cell]
Si6 0.7215 0.7609 0.8524 [1 per cell]
Si7 0.7657 0.7171 0.5313 [1 per cell]
Si8 0.9767 0.8840 0.3900 [1 per cell]



[7]
The following is a PBE calculation of CeSe2 after structural relaxation, from the Materials Project.

Values from the calculation:
V, Å³ per cell: 2778.9
Energy of formation, eV/atom: -1.36
Spin magnetization, μB per formula unit: 0.49

abc: 15.7300 10.1704 19.0495
angles: 90.00 114.24 90.00
Space group C2/c (No. 15)
Unique sites:
Ce1 0.1045 0.1643 0.1187 [8 per cell]
Ce2 0.2362 0.0857 0.3813 [8 per cell]
Se1 0.0000 0.0000 0.0000 [4 per cell]
Se2 0.0359 0.1247 0.3208 [8 per cell]
Se3 0.1512 0.3756 0.0531 [8 per cell]
Se4 0.2374 0.3756 0.7504 [8 per cell]
Se5 0.2500 0.2500 0.5000 [4 per cell]



[8]
The following is a PBE calculation of Mg14SnMo after structural relaxation, from the Materials Project.

Values from the calculation:
Energy above the lowest structure with this stoichiometry, meV per atom: 11
V, Å³ per cell: 693.2
Energy of formation, eV/atom: 0.07
Spin magnetization, μB per formula unit: 1.81

abc: 10.2047 6.2080 10.9420
angles: 90.00 90.00 90.00
Space group Amm2 (No. 38)
Unique sites:
Mg1 0.0000 0.0000 0.0000 [2 per cell]
Mg2 0.0000 0.0000 0.4995 [2 per cell]
Mg3 0.0000 0.2492 0.2499 [4 per cell]
Mg4 0.2468 0.0000 0.6667 [4 per cell]
Mg5 0.2551 0.0000 0.1615 [4 per cell]
Mg6 0.2554 0.2432 0.9178 [8 per cell]
Mg7 0.5000 0.2493 0.2491 [4 per cell]
Sn1 0.5000 0.0000 0.5015 [2 per cell]
Mo1 0.5000 0.0000 0.0003 [2 per cell]



[9]
The following is a PBE calculation of HoLuTl2 after structural relaxation, from the Materials Project.

Values from the calculation:
V, Å³ per cell: 426.5
Energy of formation, eV/atom: -0.29

abc: 7.5275 7.5275 7.5275
angles: 90.00 90.00 90.00
Space group Fm-3m (No. 225)
Unique sites:
Ho1 0.0000 0.0000 0.0000 [4 per cell]
Lu1 0.0000 0.0000 0.5000 [4 per cell]
Tl1 0.2500 0.2500 0.2500 [8 per cell]



[10]
The following is a PBE calculation of Na6Ca2Ta4Si6S3O36 after structural relaxation, from the Materials Project.

Values from the calculation:
V, Å³ per cell: 1644.7
Energy of formation, eV/atom: -2.83
Spin magnetization, μB per formula unit: 0.00

abc: 9.0979 9.0979 22.9450
angles: 90.00 90.00 120.00
Space group P3c1 (No. 158)
Unique sites:
Na1 0.0000 0.0000 0.0000 [2 per cell]
Na2 0.0462 0.3470 0.0894 [6 per cell]
Na3 0.3333 0.6667 0.1649 [2 per cell]
Na4 0.6667 0.3333 0.3322 [2 per cell]
Ca1 0.0000 0.0000 0.3509 [2 per cell]
Ca2 0.3333 0.6667 0.0225 [2 per cell]
Ta1 0.0000 0.0000 0.1544 [2 per cell]
Ta2 0.3333 0.6667 0.3095 [2 per cell]
Ta3 0.6667 0.3333 0.1921 [2 per cell]
Ta4 0.6667 0.3333 0.4866 [2 per cell]
Si1 0.2964 0.0050 0.2549 [6 per cell]
Si2 0.3733 0.0506 0.5886 [6 per cell]
S1 0.0314 0.3760 0.9213 [6 per cell]
O1 0.0053 0.2045 0.9172 [6 per cell]
O2 0.0317 0.2001 0.1962 [6 per cell]
O3 0.1185 0.4509 0.9765 [6 per cell]
O4 0.1286 0.4875 0.8706 [6 per cell]
O5 0.1358 0.4865 0.5862 [6 per cell]
O6 0.1742 0.4841 0.2637 [6 per cell]
O7 0.1891 0.0437 0.5930 [6 per cell]
O8 0.2359 0.0470 0.3127 [6 per cell]
O9 0.4723 0.1735 0.5290 [6 per cell]
O10 0.4881 0.1536 0.2389 [6 per cell]
O11 0.4974 0.1526 0.6416 [6 per cell]
O12 0.5095 0.1406 0.9228 [6 per cell]



[11]
The following is a PBE calculation of CeAgSn after structural relaxation, from the Materials Project.

Values from the calculation:
V, Å³ per cell: 153.0
Energy of formation, eV/atom: -0.47

abc: 4.8506 4.8506 7.5105
angles: 90.00 90.00 120.00
Space group P6_3mc (No. 186)
Unique sites:
Ce1 0.0000 0.0000 0.0000 [2 per cell]
Ag1 0.3333 0.6667 0.2978 [2 per cell]
Sn1 0.3333 0.6667 0.7263 [2 per cell]



[12]
The following is a PBE calculation of BaMg3 after structural relaxation, from the Materials Project.

Values from the calculation:
V, Å³ per cell: 131.4
Energy of formation, eV/atom: 0.10
Spin magnetization, μB per formula unit: 0.00

abc: 3.6757 5.2603 6.7954
angles: 90.00 90.00 90.00
Space group Pmm2 (No. 25)
Unique sites:
Ba1 0.0000 0.0000 0.0000 [1 per cell]
Mg1 0.0000 0.5000 0.6169 [1 per cell]
Mg2 0.5000 0.0000 0.4997 [1 per cell]
Mg3 0.5000 0.5000 0.2461 [1 per cell]



[13]
The following is a PBE calculation of BaCaTbSnO6 after structural relaxation, from the Materials Project.

Values from the calculation:
Energy above the lowest structure with this stoichiometry, meV per atom: 0
V, Å³ per cell: 304.1
Energy of formation, eV/atom: -2.88
Spin magnetization, μB per formula unit: 1.00

abc: 5.9527 6.0335 8.4687
angles: 89.70 89.61 89.95
Space group P-1 (No. 2)
Unique sites:
Ba1 0.0059 0.0320 0.2495 [2 per cell]
Ca1 0.4901 0.5395 0.2459 [2 per cell]
Tb1 0.0000 0.5000 0.0000 [1 per cell]
Tb2 0.5000 0.0000 0.5000 [1 per cell]
Sn1 0.0000 0.5000 0.5000 [1 per cell]
Sn2 0.5000 0.0000 0.0000 [1 per cell]
O1 0.1083 0.5025 0.7382 [2 per cell]
O2 0.2046 0.7734 0.4634 [2 per cell]
O3 0.2228 0.7945 0.0294 [2 per cell]
O4 0.2822 0.3036 0.4391 [2 per cell]
O5 0.3086 0.2864 0.0572 [2 per cell]
O6 0.4361 0.0639 0.7605 [2 per cell]



[14]
The following is a PBE calculation of MnGaCu2Se4 after structural relaxation, from the Materials Project.

Values from the calculation:
V, Å³ per cell: 358.6
Energy of formation, eV/atom: -0.64
Spin magnetization, μB per formula unit: 4.00

abc: 5.6150 5.6150 11.3726
angles: 90.00 90.00 90.00
Space group I-4 (No. 82)
Unique sites:
Mn1 0.0000 0.0000 0.0000 [2 per cell]
Ga1 0.0000 0.5000 0.2500 [2 per cell]
Cu1 0.0000 0.0000 0.5000 [2 per cell]
Cu2 0.0000 0.5000 0.7500 [2 per cell]
Se1 0.2429 0.7517 0.6255 [8 per cell]



[15]
The following is a PBE calculation of Rb2HgAuBr6 after structural relaxation, from the Materials Project.

Values from the calculation:
V, Å³ per cell: 1364.7
Energy of formation, eV/atom: -1.19
Spin magnetization, μB per formula unit: 0.00

abc: 11.0921 11.0921 11.0921
angles: 90.00 90.00 90.00
Space group Fm-3m (No. 225)
Unique sites:
Rb1 0.2500 0.2500 0.2500 [8 per cell]
Hg1 0.0000 0.0000 0.0000 [4 per cell]
Au1 0.0000 0.0000 0.5000 [4 per cell]
Br1 0.0000 0.0000 0.2559 [24 per cell]



[16]
The following is a PBE calculation of LiMn2S4 after structural relaxation, from the Materials Project.

Values from the calculation:
Energy above the lowest structure with this stoichiometry, meV per atom: 20
V, Å³ per cell: 462.9
Energy of formation, eV/atom: -1.01

abc: 6.8965 6.9043 9.7210
angles: 90.00 90.00 90.00
Space group Imma (No. 74)
Unique sites:
Li1 0.2500 0.2500 0.2500 [4 per cell]
Mn1 0.0000 0.0000 0.0000 [4 per cell]
Mn2 0.2500 0.2500 0.7500 [4 per cell]
S1 0.0000 0.0192 0.7583 [8 per cell]
S2 0.2323 0.2500 0.9906 [8 per cell]